This record from the Materials Project describes Li5V3P8O29 after structural relaxation. The functional is GGA+U.

abc: 9.8384 9.8390 14.1235
angles: 89.57 89.59 60.03
Closest atoms and distances in Å follow each position.
Element x y z (fractional)
P 0.3229 0.7695 0.1590  4 O 1.50-1.61
P 0.7724 0.9143 0.1610  4 O 1.48-1.62
P 0.6797 0.0849 0.3442  4 O 1.48-1.60
P 0.3369 0.3291 0.6294  4 O 1.49-1.60
P 0.6627 0.6644 0.3706  4 O 1.49-1.61
P 0.0873 0.2318 0.3396  4 O 1.51-1.63
P 0.0870 0.6790 0.8437  4 O 1.48-1.60
P 0.6629 0.6659 0.8721  4 O 1.50-1.60
P 0.3304 0.3381 0.1294  4 O 1.48-1.61
P 0.9066 0.3233 0.1578  4 O 1.48-1.61
P 0.9130 0.7704 0.6619  4 O 1.48-1.63
P 0.2283 0.6836 0.3407  4 O 1.50-1.61
P 0.6767 0.2329 0.8396  4 O 1.50-1.62
P 0.7677 0.3231 0.6601  4 O 1.50-1.61
P 0.2310 0.0843 0.8399  4 O 1.48-1.62
P 0.3216 0.9146 0.6566  4 O 1.51-1.61
O 0.9853 0.2474 0.0677  1 P 1.48
O 0.2141 0.7905 0.2500  2 P 1.61
O 0.8126 0.5155 0.8350  1 P 1.57
O 0.3286 0.4849 0.6663  1 P 1.59
O 0.0858 0.2512 0.8402  1 P 1.55
O 0.6184 0.4828 0.6784  1 P 1.55
O 0.5180 0.3791 0.8226  1 P 1.52
O 0.4801 0.3388 0.1747  1 P 1.61
O 0.7564 0.2462 0.5711  1 P 1.50
O 0.2489 0.0813 0.3373  1 P 1.54
O 0.7891 0.2125 0.7499  2 P 1.61-1.62
O 0.1786 0.4850 0.1685  1 P 1.57
O 0.9017 0.6211 0.6769  1 P 1.54
O 0.9944 0.2172 0.2491  2 P 1.61-1.63
O 0.1886 0.3243 0.6675  1 P 1.57
O 0.1021 0.3787 0.3238  1 P 1.54
O 0.1002 0.5183 0.8227  1 P 1.55
O 0.6594 0.0845 0.8342  1 P 1.56
O 0.3829 0.0943 0.8227  1 P 1.56
O 0.6605 0.2546 0.3346  1 P 1.59
O 0.6634 0.8156 0.8270  1 P 1.60
O 0.6616 0.6730 0.9784  1 P 1.50
O 0.9980 0.2426 0.4292  1 P 1.51
O 0.7578 0.2381 0.9279  1 P 1.50
O 0.3464 0.9111 0.1583  1 P 1.52
O 0.7442 0.9177 0.6642  1 P 1.57
O 0.2535 0.6622 0.8341  1 P 1.57
O 0.9198 0.7494 0.1590  1 P 1.54
O 0.4803 0.9048 0.6774  1 P 1.54
O 0.6287 0.8880 0.1757  1 P 1.57
O 0.7391 0.3389 0.1628  1 P 1.58
O 0.5143 0.8136 0.3311  1 P 1.57
O 0.8846 0.4894 0.1726  1 P 1.55
O 0.2084 0.0073 0.7442  2 P 1.61-1.62
O 0.6667 0.5113 0.3275  1 P 1.61
O 0.3450 0.3404 0.0249  1 P 1.48
O 0.3487 0.3211 0.5238  1 P 1.49
O 0.0879 0.6598 0.3386  1 P 1.51
O 0.7535 0.0163 0.4366  1 P 1.48
O 0.3823 0.5242 0.3199  1 P 1.57
O 0.3364 0.1869 0.1720  1 P 1.57
O 0.4877 0.6202 0.1770  1 P 1.57
O 0.6656 0.6508 0.4754  1 P 1.49
O 0.0038 0.7714 0.5778  1 P 1.48
O 0.9161 0.3392 0.6610  1 P 1.55
O 0.8122 0.6620 0.3259  1 P 1.59
O 0.2494 0.7489 0.0717  1 P 1.50
O 0.2412 0.9889 0.9241  1 P 1.48
O 0.3366 0.7505 0.6573  1 P 1.55
O 0.5217 0.0941 0.3260  1 P 1.54
O 0.2479 0.0018 0.5661  1 P 1.51
O 0.7934 0.9905 0.2575  2 P 1.60-1.62
O 0.7560 0.0144 0.0784  1 P 1.48
O 0.0137 0.7473 0.9363  1 P 1.48
O 0.9903 0.7929 0.7577  2 P 1.60-1.63
O 0.4880 0.1817 0.6739  1 P 1.60
O 0.2486 0.7544 0.4294  1 P 1.50
O 0.5115 0.6719 0.8349  1 P 1.56
Li 0.9189 0.3015 0.9390  3 O 1.91-2.02
Li 0.3205 0.9090 0.4376  3 O 1.98-2.04
Li 0.0878 0.6879 0.0614  3 O 1.89-1.99
Li 0.6856 0.2237 0.0540  2 O 1.85-1.94
Li 0.7751 0.3146 0.4420  3 O 1.95-2.15
Li 0.6863 0.0873 0.5619  3 O 1.90-2.05
Li 0.2211 0.6840 0.5580  2 O 1.88-2.00
Li 0.6736 0.6768 0.1108  1 O 1.88
Li 0.0946 0.2286 0.5591  3 O 1.98-2.10
Li 0.3123 0.7739 0.9405  2 O 1.88-2.00
V 0.0011 0.4340 0.7511  6 O 1.87-2.00
V 0.4325 0.0039 0.2451  6 O 1.87-2.04
V 0.9953 0.5696 0.2539  6 O 1.86-2.04
V 0.5700 0.9975 0.7549  6 O 1.85-1.96
V 0.5650 0.4303 0.2515  6 O 1.83-1.94
V 0.4289 0.5685 0.7473  6 O 1.88-2.02

Polymorph energy (0 for the lowest one)   3 meV/atom


This record from the Materials Project describes Li5V3P8O29 after structural relaxation. The functional is GGA+U.

abc: 9.7867 9.7867 14.2473
angles: 89.65 89.65 60.27
Closest atoms and distances in Å follow each position.
Element x y z (fractional)
O 0.4649 0.9190 0.3262  1 P 1.58
O 0.1951 0.0218 0.2614  2 P 1.60-1.62
O 0.6211 0.4693 0.3308  1 P 1.53
O 0.7799 0.1944 0.2620  2 P 1.61-1.62
O 0.2302 0.7927 0.9357  1 P 1.50
O 0.0929 0.5317 0.1708  1 P 1.56
O 0.0777 0.6578 0.6584  1 P 1.57
O 0.5181 0.6623 0.1690  1 P 1.57
O 0.3412 0.4742 0.3223  1 P 1.57
O 0.5162 0.8154 0.6646  1 P 1.56
O 0.7468 0.3417 0.8297  1 P 1.52
O 0.6194 0.9145 0.8296  1 P 1.52
O 0.3245 0.3443 0.9703  1 P 1.49
O 0.6604 0.6900 0.0267  1 P 1.49
O 0.2176 0.9870 0.0853  1 P 1.49
O 0.9190 0.4649 0.8262  1 P 1.58
O 0.2589 0.0852 0.6557  1 P 1.55
O 0.7848 0.0220 0.7614  2 P 1.60-1.62
O 0.7927 0.2302 0.4357  1 P 1.50
O 0.4693 0.6211 0.8308  1 P 1.53
O 0.3443 0.3245 0.4703  1 P 1.49
O 0.8027 0.2048 0.0854  1 P 1.49
O 0.0218 0.1951 0.7614  2 P 1.60-1.62
O 0.6623 0.5181 0.6690  1 P 1.57
O 0.9831 0.2334 0.9365  1 P 1.49
O 0.8154 0.5162 0.1646  1 P 1.56
O 0.3707 0.5313 0.6665  1 P 1.55
O 0.7452 0.9148 0.3256  1 P 1.57
O 0.6579 0.2590 0.6561  1 P 1.54
O 0.9723 0.7980 0.4355  1 P 1.50
O 0.6578 0.0777 0.1584  1 P 1.57
O 0.3295 0.1914 0.8236  1 P 1.53
O 0.1820 0.4845 0.8211  1 P 1.59
O 0.3385 0.9141 0.8227  1 P 1.56
O 0.3779 0.0938 0.1711  1 P 1.56
O 0.3417 0.7468 0.3297  1 P 1.52
O 0.8148 0.6640 0.6786  1 P 1.58
O 0.7980 0.9723 0.9355  1 P 1.50
O 0.0220 0.7848 0.2614  2 P 1.60-1.62
O 0.9145 0.6194 0.3296  1 P 1.52
O 0.0938 0.3779 0.6711  1 P 1.56
O 0.1944 0.7799 0.7620  2 P 1.61-1.62
O 0.2590 0.6579 0.1561  1 P 1.54
O 0.6900 0.6604 0.5267  1 P 1.49
O 0.1914 0.3295 0.3236  1 P 1.53
O 0.4742 0.3412 0.8223  1 P 1.57
O 0.7990 0.9863 0.5853  1 P 1.49
O 0.9141 0.3385 0.3227  1 P 1.56
O 0.2334 0.9831 0.4365  1 P 1.49
O 0.0852 0.2589 0.1557  1 P 1.55
O 0.5317 0.0929 0.6708  1 P 1.56
O 0.2048 0.8027 0.5854  1 P 1.49
O 0.5313 0.3707 0.1665  1 P 1.55
O 0.4845 0.1820 0.3211  1 P 1.59
O 0.9870 0.2176 0.5853  1 P 1.49
O 0.9148 0.7452 0.8256  1 P 1.57
O 0.6640 0.8148 0.1786  1 P 1.58
O 0.9863 0.7990 0.0853  1 P 1.49
Li 0.9065 0.3259 0.0606  3 O 1.94-2.05
Li 0.3259 0.9065 0.5606  3 O 1.94-2.05
Li 0.3315 0.3409 0.1014  1 O 1.87
Li 0.7654 0.3307 0.5592  3 O 1.92-2.05
Li 0.3307 0.7654 0.0592  3 O 1.92-2.05
Li 0.0019 0.9893 0.9943  6 O 2.25-2.47
Li 0.7640 0.8990 0.0573  3 O 1.93-2.10
Li 0.8990 0.7640 0.5573  3 O 1.93-2.10
Li 0.9893 0.0019 0.4943  6 O 2.25-2.47
Li 0.3409 0.3315 0.6014  1 O 1.87
P 0.9155 0.7731 0.3434  4 O 1.50-1.60
P 0.0865 0.2224 0.6624  4 O 1.49-1.62
P 0.3080 0.9141 0.3443  4 O 1.49-1.60
P 0.3352 0.3293 0.3658  4 O 1.49-1.59
P 0.9141 0.3080 0.8443  4 O 1.49-1.60
P 0.3112 0.7729 0.8433  4 O 1.50-1.61
P 0.3293 0.3352 0.8658  4 O 1.49-1.59
P 0.6938 0.0872 0.6624  4 O 1.49-1.62
P 0.7729 0.3112 0.3433  4 O 1.50-1.61
P 0.6683 0.6661 0.6305  4 O 1.49-1.58
P 0.7731 0.9155 0.8434  4 O 1.50-1.60
P 0.2224 0.0865 0.1624  4 O 1.49-1.62
P 0.0872 0.6938 0.1624  4 O 1.49-1.62
P 0.6930 0.2170 0.1623  4 O 1.49-1.62
P 0.2170 0.6930 0.6623  4 O 1.49-1.62
P 0.6661 0.6683 0.1305  4 O 1.49-1.58
V 0.5608 0.4387 0.7509  6 O 1.86-2.04
V 0.5667 0.9971 0.2541  6 O 1.83-2.00
V 0.9971 0.5667 0.7541  6 O 1.83-2.00
V 0.9995 0.4334 0.2497  6 O 1.84-2.00
V 0.4387 0.5608 0.2509  6 O 1.86-2.04
V 0.4334 0.9995 0.7497  6 O 1.84-2.00

Polymorph energy (0 for the lowest one)   0 meV/atom


This record from the Materials Project describes LiVP2O7 after structural relaxation. The functional is GGA+U.

abc: 8.2898 6.7350 9.2766
angles: 76.05 90.00 90.00
Closest atoms and distances in Å follow each position.
Element x y z (fractional)
O 0.4029 0.0190 0.1422  1 P 1.55
O 0.7500 0.6108 0.8989  1 P 1.56
O 0.2500 0.7421 0.4454  2 P 1.58-1.62
O 0.0978 0.5773 0.8747  1 P 1.52
O 0.2500 0.1118 0.3992  1 P 1.56
O 0.0979 0.9149 0.6232  1 P 1.52
O 0.7500 0.2386 0.9539  2 P 1.58-1.62
O 0.2500 0.1302 0.8924  1 P 1.51
O 0.9021 0.0851 0.3768  1 P 1.52
O 0.7500 0.8882 0.6008  1 P 1.56
O 0.7500 0.2579 0.5546  2 P 1.58-1.62
O 0.0971 0.0190 0.1422  1 P 1.55
O 0.9031 0.5185 0.6450  1 P 1.55
O 0.7500 0.6232 0.3947  1 P 1.51
O 0.9029 0.9810 0.8578  1 P 1.55
O 0.7500 0.8698 0.1076  1 P 1.51
O 0.5978 0.4227 0.1253  1 P 1.52
O 0.5969 0.5185 0.6450  1 P 1.55
O 0.9022 0.4227 0.1253  1 P 1.52
O 0.0969 0.4815 0.3550  1 P 1.55
O 0.5979 0.0851 0.3768  1 P 1.52
O 0.5971 0.9810 0.8578  1 P 1.55
O 0.2500 0.7614 0.0461  2 P 1.58-1.62
O 0.2500 0.3768 0.6053  1 P 1.51
O 0.4022 0.5773 0.8747  1 P 1.52
O 0.2500 0.3892 0.1011  1 P 1.56
O 0.4031 0.4815 0.3550  1 P 1.55
O 0.4021 0.9149 0.6232  1 P 1.52
P 0.2500 0.5017 0.4469  4 O 1.51-1.62
P 0.2500 0.5789 0.9658  4 O 1.52-1.58
P 0.7500 0.4983 0.5531  4 O 1.51-1.62
P 0.7500 0.4211 0.0342  4 O 1.52-1.58
P 0.2500 0.0010 0.0497  4 O 1.51-1.62
P 0.2500 0.9185 0.5317  4 O 1.52-1.58
P 0.7500 0.9990 0.9503  4 O 1.51-1.62
P 0.7500 0.0815 0.4682  4 O 1.52-1.58
Li 0.5777 0.7339 0.2474  2 O 1.99-2.00
Li 0.0777 0.2661 0.7526  2 O 1.99-2.00
Li 0.9223 0.7339 0.2474  2 O 1.99-2.00
Li 0.4223 0.2661 0.7526  2 O 1.99-2.00
V 0.9298 0.7510 0.7502  6 O 1.98-2.10
V 0.4298 0.2490 0.2498  6 O 1.98-2.10
V 0.5702 0.7510 0.7502  6 O 1.98-2.10
V 0.0702 0.2490 0.2498  6 O 1.98-2.10

Electronic total energy   -7.224 eV/atom


Question: What is the formula in the first record?
Answer: Li5V3P8O29